1.
This record from the Materials Project database describes La2Au after structural relaxation. The functional is meta-GGA r2SCAN.

```
La2Au
1.0
2.216 2.617 3.880
1.356 5.701 -4.620
-8.400 3.806 2.232
La Au
8 4
Cartesian
-2.437 7.920 1.234
-5.756 6.266 4.245
-2.391 4.204 0.258
0.928 5.858 -2.754
-1.092 3.210 3.641
0.894 5.468 0.984
-3.736 8.914 -2.150
-5.722 6.656 0.508
-2.974 5.589 3.112
-4.969 9.651 1.513
-1.854 6.535 -1.621
0.141 2.473 -0.021
```

Summary:
Calculated formation energy (eV/atom): -0.65
Total energy (eV per atom): -37.34

2.
This record from the Materials Project database describes LaAu2 after structural relaxation. The functional is meta-GGA r2SCAN.

```
LaAu2
1.0
-4.730 0.000 0.000
-2.365 -3.706 4.139
-2.365 3.706 4.139
La Au
2 4
Cartesian
-4.730 -1.853 4.002
-4.730 1.853 4.275
-2.365 0.127 2.768
-7.095 -0.127 5.509
-4.730 0.127 1.371
-4.730 -0.127 6.907
```

Summary:
Calculated formation energy (eV/atom): -0.91
Total energy (eV per atom): -44.54